DFT (PBE with a Hubbard U) results for an optimized crystal structure of CaNi4O9.

The calculation puts the formation energy at -0.85 eV/atom. As for the raw total energy: -4.99 eV/atom. Its MP2020-corrected energy is -163.038 eV for the cell shown.

Cell: 5.850 8.228 11.540 Å, 47.05 90.00 90.00°
Fractional positions:
Ni: 0.563 0.869 0.161
Ni: 0.542 0.300 0.533
Ni: 0.458 0.700 0.467
Ni: 0.542 0.700 0.967
Ni: 0.458 0.300 0.033
Ni: 0.563 0.131 0.339
Ni: 0.437 0.131 0.839
Ni: 0.437 0.869 0.661
O: 0.148 0.258 0.850
O: 0.852 0.258 0.350
O: 0.148 0.742 0.650
O: 0.565 0.400 0.644
O: 0.435 0.600 0.356
O: 0.615 0.175 0.963
O: 0.148 0.671 0.574
O: 0.435 0.400 0.144
O: 0.565 0.600 0.856
O: 0.489 0.000 0.250
O: 0.852 0.671 0.074
O: 0.852 0.742 0.150
O: 0.385 0.175 0.463
O: 0.385 0.825 0.037
O: 0.852 0.329 0.426
O: 0.511 0.000 0.750
O: 0.615 0.825 0.537
O: 0.148 0.329 0.926
Ca: 0.808 0.500 0.750
Ca: 0.192 0.500 0.250